Record 1
## Dy3Co2Ge4 (meta-GGA r2SCAN)

Data for Dy3Co2Ge4 after structural relaxation.

Computed properties:
Crystal system: monoclinic
V in Å³/cell: 167
E_form in meV per atom: -739

a b c (Å): 5.6495 5.6495 8.0174
angles (deg): 73.55 73.55 43.38
With the nearest neighbours (Å) after each atom.
Fractional positions:
Dy  0.3749  0.3749  0.6915  4 Co 2.90-3.15, 8 Ge 2.96-3.22
Dy  0.6251  0.6251  0.3085  4 Co 2.90-3.15, 8 Ge 2.96-3.22
Dy  0.0000  0.0000  0.0000  8 Ge 2.96-3.29
Co  0.3154  0.3154  0.3616  4 Ge 2.34-2.48
Co  0.6846  0.6846  0.6384  4 Ge 2.34-2.48
Ge  0.0980  0.0980  0.5973  3 Co 2.34-2.48
Ge  0.9020  0.9020  0.4027  3 Co 2.34-2.48
Ge  0.7104  0.7104  0.9205  1 Co 2.36
Ge  0.2896  0.2896  0.0795  1 Co 2.36



Record 2
## ErAlO3 (meta-GGA r2SCAN)

Data for ErAlO3 after structural relaxation.

Computed properties:
Crystal system: orthorhombic
V in Å³/cell: 199
E_form in meV per atom: -3713

a b c (Å): 5.1189 5.3164 7.3266
angles (deg): 90.00 90.00 90.00
With the nearest neighbours (Å) after each atom.
Fractional positions:
Er  0.0145  0.9413  0.7500  6 O 2.21-2.43
Er  0.4855  0.4413  0.7500  6 O 2.21-2.43
Er  0.5145  0.5587  0.2500  6 O 2.21-2.43
Er  0.9855  0.0587  0.2500  6 O 2.21-2.43
Al  0.0000  0.5000  0.0000  6 O 1.90-1.92
Al  0.0000  0.5000  0.5000  6 O 1.90-1.92
Al  0.5000  0.0000  0.0000  6 O 1.90-1.92
Al  0.5000  0.0000  0.5000  6 O 1.90-1.92
O  0.0916  0.4743  0.2500  2 Al 1.90
O  0.2027  0.2038  0.5479  2 Al 1.90-1.92
O  0.2027  0.2038  0.9521  2 Al 1.90-1.92
O  0.2973  0.7038  0.9521  2 Al 1.90-1.92
O  0.2973  0.7038  0.5479  2 Al 1.90-1.92
O  0.4084  0.9743  0.2500  2 Al 1.90
O  0.5916  0.0257  0.7500  2 Al 1.90
O  0.7027  0.2962  0.0479  2 Al 1.90-1.92
O  0.7027  0.2962  0.4521  2 Al 1.90-1.92
O  0.7973  0.7962  0.0479  2 Al 1.90-1.92
O  0.7973  0.7962  0.4521  2 Al 1.90-1.92
O  0.9084  0.5257  0.7500  2 Al 1.90